## Y4Ga12Pd (GGA-PBE)

Data for a relaxed Y4Ga12Pd crystal.

Computed properties:
- DFT formation energy (kJ/mol of formula units) = -1010
- calculated total energy (eV/cell) = -155.7

a b c (Å): 8.6651 8.6651 8.6651
angles (deg): 90.00 90.00 90.00
Space group Im-3m (No. 229)
Unique sites:
Y 0.2500 0.2500 0.2500 [8 per cell]
Ga 0.0000 0.0000 0.2968 [12 per cell]
Ga 0.0000 0.2500 0.5000 [12 per cell]
Pd 0.0000 0.0000 0.0000 [2 per cell]